(1)
Material: MgSi2
Method: DFT, PBE-GGA
State: optimized geometry

Output
For the energy above the lowest structure with this stoichiometry, the calculation gives 177 meV/atom. The calculation puts the spin magnetization at 0.00 μB per atom. The value obtained for the energy of formation from the pure elements is 0.76 eV per formula unit.

Cell lengths 9.593, 3.534, 12.429 Å; angles 90.00, 105.17, 90.00 degrees
Space group Cm (No. 8)
Symmetry-distinct sites (fractional):
Mg 0.000 0.000 0.000 x2
Mg 0.008 0.000 0.244 x2
Mg 0.185 0.500 0.430 x2
Mg 0.356 0.000 0.613 x2
Si 0.005 0.000 0.505 x2
Si 0.044 0.000 0.784 x2
Si 0.150 0.500 0.667 x2
Si 0.201 0.500 0.925 x2
Si 0.215 0.500 0.199 x2
Si 0.298 0.000 0.089 x2
Si 0.319 0.000 0.821 x2
Si 0.377 0.000 0.369 x2

---

(2)
Material: KCaGdSeO6
Method: DFT, PBE-GGA
State: optimized geometry

Output
The calculation puts the spin magnetization at 0.70 μB per atom. The value obtained for the energy of formation from the pure elements is -23.71 eV per formula unit.

Cell lengths 8.119, 8.119, 8.119 Å; angles 90.00, 90.00, 90.00 degrees
Space group F-43m (No. 216)
Symmetry-distinct sites (fractional):
K 0.000 0.000 0.000 x4
Ca 0.000 0.000 0.500 x4
Gd 0.250 0.250 0.250 x4
Se 0.250 0.250 0.750 x4
O 0.025 0.250 0.750 x24

---

(3)
Material: Li3Ag
Method: DFT, PBE-GGA
State: optimized geometry

Output
For the energy above the lowest structure with this stoichiometry, the calculation gives 0 meV/atom. The value obtained for the energy of formation from the pure elements is -0.63 eV per formula unit.

Cell lengths 6.456, 6.456, 6.456 Å; angles 90.00, 90.00, 90.00 degrees
Space group Fm-3m (No. 225)
Symmetry-distinct sites (fractional):
Li 0.000 0.000 0.000 x4
Li 0.250 0.250 0.250 x8
Ag 0.000 0.000 0.500 x4

---

(4)
Material: Sr2DyGaCu2O7
Method: DFT, PBE-GGA
State: optimized geometry

Output
For the energy above the lowest structure with this stoichiometry, the calculation gives 0 meV/atom. The calculation puts the spin magnetization at 0.00 μB per atom. The value obtained for the energy of formation from the pure elements is -32.48 eV per formula unit.

Cell lengths 23.169, 5.518, 5.415 Å; angles 90.00, 90.00, 90.00 degrees
Space group Ima2 (No. 46)
Symmetry-distinct sites (fractional):
Sr 0.151 0.015 0.000 x8
Dy 0.000 0.000 0.003 x4
Ga 0.250 0.568 0.961 x4
Cu 0.072 0.501 0.003 x8
O 0.061 0.249 0.252 x8
O 0.065 0.749 0.753 x8
O 0.176 0.045 0.526 x8
O 0.250 0.617 0.609 x4